Entry 1:
Below is an optimized crystal structure of TaVP, with properties calculated at the GGA-PBE level.

Cell and atoms, written as extended XYZ:
```
12
Lattice="6.400 0.000 0.000 0.000 3.408 0.000 0.000 0.000 7.702" Properties=species:S:1:pos:R:3 pbc="T T T"
Ta 0.232 0.852 1.298
Ta 2.968 2.556 5.149
Ta 3.431 0.852 2.553
Ta 6.168 2.556 6.404
V 0.893 0.852 4.301
V 2.307 2.556 0.450
V 4.092 0.852 7.251
V 5.507 2.556 3.400
P 1.513 2.556 2.773
P 1.686 0.852 6.624
P 4.713 2.556 1.078
P 4.886 0.852 4.929
```


Entry 2:
Below is an optimized crystal structure of PuB2Ru3, with properties calculated at the GGA-PBE level.

Cell and atoms, written as extended XYZ:
```
6
Lattice="5.567 0.000 0.000 -2.784 4.821 0.000 0.000 0.000 2.944" Properties=species:S:1:pos:R:3 pbc="T T T"
Pu 0.000 0.000 0.000
B 0.000 3.214 0.000
B 2.784 1.607 0.000
Ru -1.392 2.411 1.472
Ru 2.784 0.000 1.472
Ru 1.392 2.411 1.472
```


Entry 3:
Below is an optimized crystal structure of Na4Pt, with properties calculated at the GGA-PBE level.

Cell and atoms, written as extended XYZ:
```
10
Lattice="0.000 5.728 5.728 5.728 0.000 5.728 5.728 5.728 0.000" Properties=species:S:1:pos:R:3 pbc="T T T"
Na 8.727 5.592 5.592
Na 2.728 2.728 2.728
Na 5.863 5.863 2.728
Na 5.863 2.728 5.863
Na 5.592 8.727 5.592
Na 5.592 5.592 8.727
Na 8.727 8.727 8.727
Na 2.728 5.863 5.863
Pt 4.296 4.296 4.296
Pt 7.160 7.160 7.160
```


Entry 4:
11
Lattice="3.019 0.000 0.000 -1.509 2.614 0.000 0.000 0.000 14.075" Properties=species:S:1:pos:R:3 comment="LiAl2Cu2O6 GGA-PBE optimized geometry" e_above_lowest_polymorph_ev_per_atom=0.024 pbc="T T T"
Li 0.000 0.000 0.000
Al 0.000 0.000 5.665
Al 0.000 0.000 11.672
Cu 0.000 1.743 8.611
Cu 1.509 0.871 2.714
O 0.000 0.000 1.894
O 0.000 0.000 8.834
O 0.000 1.743 6.579
O 0.000 1.743 10.886
O 1.509 0.871 4.717
O 1.509 0.871 12.836


Number 1: total energy -9.609 eV/atom, energy of formation from the pure elements -0.824 eV per atom. Number 2: total energy -9.662 eV/atom, energy of formation from the pure elements -0.420 eV per atom. Number 3: total energy -2.019 eV/atom, energy of formation from the pure elements 0.253 eV per atom. Number 4: total energy -5.961 eV/atom, energy of formation from the pure elements -2.037 eV per atom.